MgTiBiO5 after structural relaxation, computed with PBE.

abc: 5.2674 10.4576 15.2282
angles: 90.00 90.00 90.00
Positions (direct):
Mg 0.9923 0.1324 0.5480
Mg 0.4923 0.3676 0.5480
Mg 0.5077 0.6324 0.4520
Mg 0.9923 0.6324 0.9520
Mg 0.5077 0.1324 0.0480
Mg 0.4923 0.8676 0.9520
Mg 0.0077 0.8676 0.4520
Mg 0.0077 0.3676 0.0480
Bi 0.4884 0.8573 0.2616
Bi 0.0116 0.8573 0.7616
Bi 0.9884 0.6427 0.2616
Bi 0.4884 0.3573 0.2384
Bi 0.9884 0.1427 0.2384
Bi 0.5116 0.6427 0.7616
Bi 0.5116 0.1427 0.7384
Bi 0.0116 0.3573 0.7384
Ti 0.5029 0.8830 0.5804
Ti 0.4971 0.1170 0.4196
Ti 0.9971 0.8830 0.0804
Ti 0.0029 0.1170 0.9196
Ti 0.4971 0.6170 0.0804
Ti 0.9971 0.3830 0.4196
Ti 0.5029 0.3830 0.9196
Ti 0.0029 0.6170 0.5804
O 0.7907 0.0074 0.8458
O 0.7452 0.9765 0.0307
O 0.1874 0.7783 0.0139
O 0.6700 0.3043 0.8199
O 0.3462 0.7991 0.8362
O 0.1700 0.6957 0.6801
O 0.2093 0.9926 0.1542
O 0.1700 0.1957 0.8199
O 0.8126 0.2217 0.9861
O 0.6874 0.2217 0.4861
O 0.7093 0.5074 0.1542
O 0.7907 0.5074 0.6542
O 0.2548 0.5235 0.5307
O 0.6700 0.8043 0.6801
O 0.2907 0.9926 0.6542
O 0.6538 0.7009 0.3362
O 0.6538 0.2009 0.1638
O 0.6874 0.7217 0.0139
O 0.8300 0.8043 0.1801
O 0.7452 0.4765 0.4693
O 0.7548 0.4765 0.9693
O 0.8300 0.3043 0.3199
O 0.2452 0.5235 0.0307
O 0.1538 0.7991 0.3362
O 0.3462 0.2991 0.6638
O 0.8126 0.7217 0.5139
O 0.1538 0.2991 0.1638
O 0.8462 0.7009 0.8362
O 0.8462 0.2009 0.6638
O 0.3300 0.1957 0.3199
O 0.7093 0.0074 0.3458
O 0.2452 0.0235 0.4693
O 0.2907 0.4926 0.8458
O 0.3126 0.7783 0.5139
O 0.2548 0.0235 0.9693
O 0.3300 0.6957 0.1801
O 0.7548 0.9765 0.5307
O 0.3126 0.2783 0.9861
O 0.1874 0.2783 0.4861
O 0.2093 0.4926 0.3458

Results
- distance to the lowest polymorph of the same formula (meV/atom) = 56
- total DFT energy (no corrections) (Ha/atom) = -0.252
- corrected total energy (MP2020 scheme) (Ry/atom) = -0.5362
- crystal system = orthorhombic
- calculated formation energy (eV/atom) = -2.5292

Mg3AlO4 after structural relaxation, computed with PBE.

abc: 4.3273 4.3273 4.3273
angles: 90.00 90.00 90.00
Positions (direct):
Al 0.0000 0.0000 0.0000
O 0.5000 0.0000 0.0000
O 0.0000 0.0000 0.5000
O 0.5000 0.5000 0.5000
O 0.0000 0.5000 0.0000
Mg 0.5000 0.0000 0.5000
Mg 0.0000 0.5000 0.5000
Mg 0.5000 0.5000 0.0000

Results
- total DFT energy (no corrections) (Ha/atom) = -0.216
- corrected total energy (MP2020 scheme) (Ry/atom) = -0.4577
- crystal system = cubic
- calculated formation energy (eV/atom) = -2.6857